Here is a relaxed Rb3ScBr6 crystal from the Materials Project database. Energies are from PBE-GGA.

Properties
energy: -3.644 eV/atom
crystal system: cubic
space group: Fm-3m, No. 225

Unit cell a=8.3591 b=8.3591 c=8.3591 alpha=60.00 beta=60.00 gamma=60.00
Positions (direct):
Rb (0.0000, 0.0000, 0.0000)
Rb (0.2500, 0.2500, 0.2500)
Rb (0.7500, 0.7500, 0.7500)
Sc (0.5000, 0.5000, 0.5000)
Br (0.2751, 0.2751, 0.7249)
Br (0.2751, 0.7249, 0.2751)
Br (0.2751, 0.7249, 0.7249)
Br (0.7249, 0.2751, 0.2751)
Br (0.7249, 0.2751, 0.7249)
Br (0.7249, 0.7249, 0.2751)

Here is a relaxed SmGeRu crystal from the Materials Project database. Energies are from PBE-GGA.

Properties
energy: -6.891 eV/atom
crystal system: tetragonal
space group: P4/nmm, No. 129

Unit cell a=4.3192 b=4.3192 c=6.7805 alpha=90.00 beta=90.00 gamma=90.00
Positions (direct):
Sm (0.2500, 0.2500, 0.1881)
Sm (0.7500, 0.7500, 0.8119)
Ge (0.2500, 0.2500, 0.6985)
Ge (0.7500, 0.7500, 0.3015)
Ru (0.2500, 0.7500, 0.5000)
Ru (0.7500, 0.2500, 0.5000)

Here is a relaxed TbIn6Cu6 crystal from the Materials Project database. Energies are from PBE-GGA.

Properties
energy: -3.647 eV/atom
crystal system: orthorhombic
space group: Immm, No. 71

Unit cell a=7.0584 b=7.0584 c=7.0584 alpha=133.66 beta=99.22 gamma=98.59
Positions (direct):
Tb (0.0000, 0.0000, 0.0000)
In (0.1857, 0.6857, 0.5000)
In (0.3371, 0.0000, 0.3371)
In (0.3426, 0.3426, 0.0000)
In (0.6574, 0.6574, 0.0000)
In (0.6629, 0.0000, 0.6629)
In (0.8143, 0.3143, 0.5000)
Cu (0.0000, 0.0000, 0.5000)
Cu (0.0000, 0.5000, 0.0000)
Cu (0.2329, 0.5000, 0.7329)
Cu (0.5000, 0.0000, 0.0000)
Cu (0.5000, 0.5000, 0.5000)
Cu (0.7671, 0.5000, 0.2671)

Here is a relaxed NaSi2BO7 crystal from the Materials Project database. Energies are from PBE-GGA.

Properties
energy: -7.008 eV/atom
crystal system: monoclinic
space group: P2_1, No. 4

Unit cell a=4.9534 b=7.2216 c=8.1783 alpha=90.00 beta=93.35 gamma=90.00
Positions (direct):
Na (0.0140, 0.0000, 0.0579)
Na (0.9860, 0.5000, 0.9421)
Si (0.2127, 0.9123, 0.6326)
Si (0.3052, 0.4888, 0.5809)
Si (0.6948, 0.9888, 0.4191)
Si (0.7873, 0.4123, 0.3674)
B (0.3830, 0.2070, 0.8391)
B (0.6170, 0.7070, 0.1609)
O (0.1042, 0.4559, 0.4185)
O (0.2470, 0.6899, 0.6643)
O (0.2568, 0.3365, 0.7201)
O (0.3008, 0.0161, 0.8033)
O (0.3237, 0.2538, 0.0061)
O (0.3291, 0.7281, 0.1202)
O (0.3868, 0.9832, 0.4805)
O (0.6132, 0.4832, 0.5195)
O (0.6709, 0.2281, 0.8798)
O (0.6763, 0.7538, 0.9939)
O (0.6992, 0.5161, 0.1967)
O (0.7432, 0.8365, 0.2799)
O (0.7530, 0.1899, 0.3357)
O (0.8958, 0.9559, 0.5815)

Here is a relaxed CaAu2 crystal from the Materials Project database. Energies are from PBE-GGA.

Properties
energy: -3.562 eV/atom
crystal system: orthorhombic
space group: Imma, No. 74

Unit cell a=4.6879 b=7.1375 c=8.3051 alpha=90.00 beta=90.00 gamma=90.00
Positions (direct):
Ca (0.0000, 0.2500, 0.0394)
Ca (0.0000, 0.7500, 0.9606)
Ca (0.5000, 0.2500, 0.4606)
Ca (0.5000, 0.7500, 0.5394)
Au (0.0000, 0.0385, 0.6619)
Au (0.0000, 0.4615, 0.6619)
Au (0.0000, 0.5385, 0.3381)
Au (0.0000, 0.9615, 0.3381)
Au (0.5000, 0.0385, 0.8381)
Au (0.5000, 0.4615, 0.8381)
Au (0.5000, 0.5385, 0.1619)
Au (0.5000, 0.9615, 0.1619)

Here is a relaxed V4S9Br4 crystal from the Materials Project database. Energies are from PBE-GGA.

Properties
energy: -5.455 eV/atom
crystal system: tetragonal
space group: P4/nmm, No. 129

Unit cell a=11.0025 b=11.0025 c=7.3344 alpha=90.00 beta=90.00 gamma=90.00
Positions (direct):
V (0.1148, 0.1148, 0.1235)
V (0.1148, 0.3852, 0.1235)
V (0.3852, 0.1148, 0.1235)
V (0.3852, 0.3852, 0.1235)
V (0.6148, 0.6148, 0.8765)
V (0.6148, 0.8852, 0.8765)
V (0.8852, 0.6148, 0.8765)
V (0.8852, 0.8852, 0.8765)
S (0.0383, 0.2500, 0.3489)
S (0.0550, 0.7500, 0.8891)
S (0.2500, 0.0383, 0.3489)
S (0.2500, 0.2500, 0.9770)
S (0.2500, 0.4617, 0.3489)
S (0.2500, 0.5550, 0.1109)
S (0.2500, 0.9450, 0.1109)
S (0.4450, 0.7500, 0.8891)
S (0.4617, 0.2500, 0.3489)
S (0.5383, 0.7500, 0.6511)
S (0.5550, 0.2500, 0.1109)
S (0.7500, 0.0550, 0.8891)
S (0.7500, 0.4450, 0.8891)
S (0.7500, 0.5383, 0.6511)
S (0.7500, 0.7500, 0.0230)
S (0.7500, 0.9617, 0.6511)
S (0.9450, 0.2500, 0.1109)
S (0.9617, 0.7500, 0.6511)
Br (0.0512, 0.0512, 0.7899)
Br (0.0512, 0.4488, 0.7899)
Br (0.4488, 0.0512, 0.7899)
Br (0.4488, 0.4488, 0.7899)
Br (0.5512, 0.5512, 0.2101)
Br (0.5512, 0.9488, 0.2101)
Br (0.9488, 0.5512, 0.2101)
Br (0.9488, 0.9488, 0.2101)

Here is a relaxed MgBi2Sb2O8 crystal from the Materials Project database. Energies are from PBE-GGA.

Properties
energy: -5.733 eV/atom
crystal system: triclinic
space group: P1, No. 1
offset from the most stable computed form: 0.109 eV/atom

Unit cell a=5.4099 b=6.2206 c=6.7264 alpha=102.25 beta=111.39 gamma=92.68
Positions (direct):
Mg (0.0000, 0.0000, 0.0000)
Bi (0.3241, 0.0570, 0.7199)
Bi (0.9201, 0.4901, 0.8663)
Sb (0.1473, 0.3834, 0.3652)
Sb (0.6236, 0.8324, 0.3320)
O (0.1638, 0.3759, 0.6689)
O (0.1955, 0.3033, 0.0672)
O (0.2169, 0.7652, 0.0126)
O (0.3996, 0.1386, 0.4446)
O (0.4395, 0.6505, 0.5028)
O (0.8510, 0.1187, 0.2168)
O (0.8816, 0.5831, 0.2428)
O (0.9077, 0.9525, 0.6645)

Here is a relaxed Li3ErBr6 crystal from the Materials Project database. Energies are from PBE-GGA.

Properties
energy: -3.694 eV/atom
crystal system: monoclinic
space group: C2, No. 5
offset from the most stable computed form: 0.000 eV/atom

Unit cell a=6.9375 b=6.9375 c=6.9387 alpha=99.69 beta=99.69 gamma=119.72
Positions (direct):
Li (0.0000, 0.0000, 0.0000)
Li (0.3384, 0.6616, 0.0000)
Li (0.8273, 0.1727, 0.5000)
Er (0.6678, 0.3322, 0.0000)
Br (0.0698, 0.3984, 0.2465)
Br (0.2509, 0.2506, 0.7672)
Br (0.4242, 0.0721, 0.2387)
Br (0.6016, 0.9302, 0.7535)
Br (0.7494, 0.7491, 0.2328)
Br (0.9279, 0.5758, 0.7613)